one.
Li7Co5O12 | GGA+U | optimized geometry Values from VASP.

The structure in Quantum ESPRESSO input format:
```
&SYSTEM
  ibrav = 0, nat = 24, ntyp = 3
/
ATOMIC_SPECIES
Li 6.94 Li.upf
Co 58.93 Co.upf
O 16.00 O.upf
CELL_PARAMETERS angstrom
2.900 0.000 0.000
-0.179 5.112 0.000
-0.990 -2.531 14.448
ATOMIC_POSITIONS angstrom
Li 1.779 -0.786 12.096
Li 1.468 0.831 2.323
Li -0.048 3.367 2.353
Li 1.549 2.560 7.223
Li 1.360 2.556 0.000
Li 0.182 0.021 7.225
Li 0.262 1.750 12.125
Co 1.666 0.875 9.662
Co 0.308 -1.681 9.649
Co 0.065 1.706 4.786
Co 1.422 4.262 4.800
Co 0.000 0.000 0.000
O 0.082 3.441 5.915
O 1.683 2.624 10.753
O 1.408 2.516 3.659
O -0.017 1.470 1.043
O 1.649 -0.860 8.534
O 1.747 1.111 13.406
O 0.117 1.675 8.543
O 0.047 -0.044 3.695
O 1.614 0.906 5.905
O 0.452 -1.770 13.399
O 1.279 4.351 1.050
O 0.323 0.065 10.789
```

Values from the calculation:
* size of the total moment: 2.002 μB per formula unit

---

two.
Li7Co5O12 | GGA+U | optimized geometry Values from VASP.

The structure in Quantum ESPRESSO input format:
```
&SYSTEM
  ibrav = 0, nat = 24, ntyp = 3
/
ATOMIC_SPECIES
Li 6.94 Li.upf
Co 58.93 Co.upf
O 16.00 O.upf
CELL_PARAMETERS angstrom
-5.184 -0.826 2.203
-0.673 -2.014 -6.045
4.504 -4.237 1.716
ATOMIC_POSITIONS angstrom
Li -1.700 -2.730 2.513
Li -3.601 -2.695 -2.166
Li -1.020 -2.262 -3.228
Li 0.347 -4.347 -4.639
Li -2.592 -0.413 1.102
Li -0.333 -4.815 1.102
Li 2.249 -4.382 0.040
Co -1.337 -2.458 -0.316
Co 2.550 -4.175 -2.885
Co 0.000 0.000 0.000
Co -0.015 -4.619 -1.809
Co -3.903 -2.902 0.759
O -3.510 -1.790 2.264
O -2.182 -3.786 0.784
O -0.793 -1.394 1.068
O 0.366 -3.402 -0.338
O -1.719 -3.675 -1.788
O 2.157 -5.287 -4.389
O 0.829 -3.291 -2.910
O 1.667 -5.366 -1.673
O -3.020 -1.711 -0.452
O -0.559 -5.683 -3.193
O -0.909 -5.898 -0.648
O -0.444 -1.179 -1.478
```

---

What should be chosen as the least stable of them? Choose one.

---

one.
Li7Co5O12 | GGA+U | optimized geometry Values from VASP.

The structure in Quantum ESPRESSO input format:
```
&SYSTEM
  ibrav = 0, nat = 48, ntyp = 3
/
ATOMIC_SPECIES
O 16.00 O.upf
Co 58.93 Co.upf
Li 6.94 Li.upf
CELL_PARAMETERS angstrom
4.921 0.027 -0.618
-0.682 6.342 7.210
0.711 -6.341 5.664
ATOMIC_POSITIONS angstrom
O 2.536 5.553 6.112
O 3.806 3.846 3.922
O 2.991 1.533 9.704
O 2.175 -3.413 4.253
O 3.032 1.504 3.278
O 3.367 -2.792 7.136
O 4.533 -2.457 3.072
O 0.920 -1.726 6.450
O 4.903 -4.530 4.993
O 4.316 -0.314 7.632
O 0.385 2.437 2.752
O 1.722 0.612 0.667
O 0.521 0.332 11.039
O 2.055 -1.361 8.868
O 1.741 0.618 7.089
O 0.501 0.356 4.603
O 4.300 -0.358 1.186
O 3.254 -0.779 5.329
O 4.208 1.804 5.752
O 1.397 2.913 5.066
O 0.179 4.605 7.303
O 2.090 -1.385 2.458
O 0.414 2.497 9.177
O 2.623 3.528 7.911
Co 2.819 -3.184 2.548
Co 0.026 0.000 6.431
Co 0.237 -2.113 1.888
Co 2.601 -1.010 7.036
Co 0.267 -2.123 8.331
Co 2.575 -1.015 0.611
Co -0.206 2.107 10.993
Co 4.690 2.108 3.968
Co 2.106 3.174 3.312
Co 5.630 -6.305 5.039
Li 2.371 1.072 11.620
Li 3.260 3.660 5.853
Li 1.662 -3.734 6.303
Li 1.211 0.554 9.113
Li 3.990 -2.705 5.093
Li 3.764 -0.462 9.722
Li 0.965 2.620 7.081
Li 3.494 1.576 7.722
Li 3.746 -0.458 3.271
Li 2.352 1.086 5.172
Li 1.433 -1.507 10.948
Li 4.214 -4.760 6.931
Li 1.215 0.568 2.653
Li 1.454 -1.520 4.511
```

Values from the calculation:
* size of the total moment: 2.000 μB per formula unit

---

two.
Li7Co5O12 | GGA+U | optimized geometry Values from VASP.

The structure in Quantum ESPRESSO input format:
```
&SYSTEM
  ibrav = 0, nat = 24, ntyp = 3
/
ATOMIC_SPECIES
Li 6.94 Li.upf
O 16.00 O.upf
Co 58.93 Co.upf
CELL_PARAMETERS angstrom
-2.649 0.852 -1.127
3.207 -3.197 -6.367
-4.518 -6.891 5.787
ATOMIC_POSITIONS angstrom
Li -1.397 -5.877 -1.235
Li -1.103 -1.688 1.406
Li -1.325 0.426 -0.563
Li -2.563 -3.359 -0.471
Li -2.857 -7.548 -3.113
Li 0.889 -2.386 -4.151
Li -4.849 -6.850 2.445
O 0.213 -4.373 -4.059
O -3.242 -5.402 -0.337
O -2.185 -5.516 -3.262
O -2.852 -7.384 1.551
O -4.173 -4.863 2.352
O -1.820 -1.515 -0.574
O -4.065 -7.256 4.370
O -0.718 -3.834 -1.369
O -1.108 -1.852 -3.257
O -2.140 -7.721 -1.132
O 0.105 -1.980 -6.077
O -1.775 -3.720 1.555
Co -3.584 -3.019 2.330
Co -0.125 -2.002 -1.274
Co -2.382 -5.543 1.559
Co -1.578 -3.693 -3.266
Co -3.834 -7.234 -0.432
```

Values from the calculation:
* size of the total moment: 6.000 μB per formula unit

---

three.
Li7Co5O12 | GGA+U | optimized geometry Values from VASP.

The structure in Quantum ESPRESSO input format:
```
&SYSTEM
  ibrav = 0, nat = 24, ntyp = 3
/
ATOMIC_SPECIES
O 16.00 O.upf
Li 6.94 Li.upf
Co 58.93 Co.upf
CELL_PARAMETERS angstrom
-2.770 3.199 -2.704
0.895 -4.157 -2.764
-7.182 -3.641 3.249
ATOMIC_POSITIONS angstrom
O -7.838 -1.504 0.015
O -1.495 -0.734 -4.277
O -5.431 -0.381 -1.044
O -6.304 -3.221 -2.014
O -1.219 -3.095 -2.235
O -7.563 -3.865 2.057
O -3.160 0.895 -2.130
O -3.737 -1.931 -3.146
O -2.753 -1.378 -0.206
O -5.898 -5.494 -0.090
O -3.626 -4.218 -1.176
O -5.320 -2.668 0.926
Li -1.938 -3.290 -0.310
Li -4.529 -2.300 -1.110
Li 0.448 -2.079 -1.382
Li -2.110 -1.073 -2.197
Li -7.119 -1.309 -1.910
Li -1.385 1.600 -1.352
Li -6.947 -3.526 -0.023
Co -2.821 -3.736 -3.049
Co -6.036 -3.035 2.706
Co -3.021 -1.564 -4.925
Co -6.236 -0.863 0.829
Co -3.591 -1.820 1.624
```

Values from the calculation:
* size of the total moment: 0.239 μB per formula unit

---

What should be chosen as the least stable of them? Choose two.

---

one.
Li7Co5O12 | GGA+U | optimized geometry Values from VASP.

The structure in Quantum ESPRESSO input format:
```
&SYSTEM
  ibrav = 0, nat = 48, ntyp = 3
/
ATOMIC_SPECIES
O 16.00 O.upf
Co 58.93 Co.upf
Li 6.94 Li.upf
CELL_PARAMETERS angstrom
5.028 -0.072 5.867
-4.968 0.030 7.086
-4.189 -6.472 -0.144
ATOMIC_POSITIONS angstrom
O -0.563 -0.309 1.782
O -2.992 -1.380 3.083
O -4.900 -4.671 6.229
O 3.348 -0.848 5.318
O -2.764 -3.555 4.965
O -3.626 -6.274 11.013
O -2.782 -3.587 11.422
O -0.334 -2.458 3.803
O -1.055 -5.083 9.666
O -3.841 -3.990 9.070
O -2.929 -1.390 9.572
O -1.643 -0.770 5.953
O -1.046 -5.039 3.192
O -1.426 -2.962 7.807
O 0.113 -4.758 5.653
O -1.477 -2.944 1.327
O -2.517 -5.800 6.967
O -0.239 -2.666 10.297
O -7.518 -5.756 7.574
O -4.138 -1.726 7.101
O -3.694 -6.122 4.538
O 0.836 -1.751 6.467
O -0.517 -0.303 8.269
O -3.880 -4.031 2.649
Co 2.645 -1.081 7.054
Co -4.138 -6.450 6.310
Co -2.061 -3.251 3.229
Co 0.543 -4.405 3.839
Co 0.270 -2.169 1.914
Co -4.461 -4.353 4.454
Co 0.317 -2.202 8.379
Co -2.343 -1.022 7.694
Co -9.125 -6.428 6.913
Co -2.018 -3.321 9.653
Li -1.794 -5.422 5.090
Li -1.210 -0.522 3.943
Li -6.799 -5.409 5.674
Li -3.576 -1.603 5.125
Li 1.413 -1.654 4.491
Li -2.995 -5.971 8.945
Li -0.558 -4.931 7.679
Li -0.858 -2.683 5.767
Li -5.836 -2.657 6.406
Li -1.201 -0.518 10.417
Li 1.837 -3.924 6.374
Li -3.175 -3.851 6.968
Li -5.557 -4.843 8.276
Li -3.046 -5.947 2.462
```

Values from the calculation:
* size of the total moment: 2.999 μB per formula unit

---

two.
Li7Co5O12 | GGA+U | optimized geometry Values from VASP.

The structure in Quantum ESPRESSO input format:
```
&SYSTEM
  ibrav = 0, nat = 24, ntyp = 3
/
ATOMIC_SPECIES
O 16.00 O.upf
Li 6.94 Li.upf
Co 58.93 Co.upf
CELL_PARAMETERS angstrom
2.879 0.000 0.000
-1.375 7.529 0.000
-0.067 -1.819 9.612
ATOMIC_POSITIONS angstrom
O 0.683 -0.506 5.970
O 0.713 1.249 3.727
O -0.708 3.673 3.684
O 2.129 0.151 8.565
O 2.144 2.037 5.927
O 0.723 4.462 5.884
O 0.692 2.979 8.502
O 0.753 6.217 3.641
O -0.704 5.298 8.611
O 0.744 2.732 1.110
O -0.693 5.559 1.046
O 2.140 0.413 1.000
Li -0.674 7.070 2.417
Li -0.688 3.765 0.000
Li 2.172 2.082 2.382
Li 0.693 1.190 7.263
Li -0.736 3.629 7.230
Li 2.110 -1.359 7.195
Li 0.743 4.520 2.349
Co 0.718 2.855 4.806
Co 0.727 4.404 9.588
Co 0.709 1.307 0.024
Co 2.139 0.343 4.828
Co -0.703 5.368 4.783
```

Values from the calculation:
* size of the total moment: 2.000 μB per formula unit

---

What should be chosen as the least stable of them? Choose one.

---

one.
BaCaV2Ni3H2O10 | GGA+U | optimized geometry Values from VASP.

The structure in Quantum ESPRESSO input format:
```
&SYSTEM
  ibrav = 0, nat = 19, ntyp = 6
/
ATOMIC_SPECIES
Ni 58.69 Ni.upf
O 16.00 O.upf
Ba 137.33 Ba.upf
V 50.94 V.upf
Ca 40.08 Ca.upf
H 1.01 H.upf
CELL_PARAMETERS angstrom
4.220 2.381 -3.514
0.464 -2.056 -5.934
-3.012 5.880 -4.730
ATOMIC_POSITIONS angstrom
Ni 0.232 -1.028 -2.967
Ni 2.342 0.163 -4.724
Ni 0.000 0.000 0.000
O 0.163 2.695 -8.174
O -1.540 4.301 -9.131
O 1.510 3.510 -6.004
O 3.213 1.905 -5.046
O -1.245 4.762 -6.043
O 0.759 5.893 -7.712
O 1.340 4.035 -10.950
O 0.913 0.313 -6.466
O 2.917 1.444 -8.135
O 0.333 2.170 -3.228
Ba -1.274 1.912 -5.332
V 1.112 1.301 -7.979
V 0.561 4.904 -6.199
Ca 2.110 1.191 -1.757
H 2.547 2.598 -5.376
H -0.875 3.608 -8.802
```

Values from the calculation:
* size of the total moment: 4.001 μB per formula unit

---

two.
BaCaV2Ni3H2O10 | GGA+U | optimized geometry Values from VASP.

The structure in Quantum ESPRESSO input format:
```
&SYSTEM
  ibrav = 0, nat = 19, ntyp = 6
/
ATOMIC_SPECIES
H 1.01 H.upf
V 50.94 V.upf
Ni 58.69 Ni.upf
O 16.00 O.upf
Ca 40.08 Ca.upf
Ba 137.33 Ba.upf
CELL_PARAMETERS angstrom
-2.118 5.426 -1.872
0.603 1.536 -5.715
-7.546 0.909 -3.962
ATOMIC_POSITIONS angstrom
H -5.682 3.199 -7.771
H -3.518 4.405 -3.845
V -7.127 4.437 -4.466
V -2.069 3.444 -7.029
Ni -1.997 6.197 -4.828
Ni -0.878 3.478 -3.851
Ni -0.101 0.025 -0.065
O -1.386 2.469 -5.621
O -2.164 5.263 -6.668
O -7.570 6.113 -8.649
O -3.875 3.129 -6.943
O -2.559 4.613 -3.735
O -1.789 1.772 -2.923
O -7.605 5.549 -5.876
O -7.164 2.678 -5.107
O -6.650 3.277 -7.934
O -5.357 4.310 -4.084
Ca -5.024 2.245 -5.092
Ba -4.712 5.602 -6.867
```

Values from the calculation:
* size of the total moment: 3.872 μB per formula unit

---

What should be chosen as the least stable of them? Choose two.

---

one.
HW2O6 | GGA+U | optimized geometry Values from VASP.

The structure in Quantum ESPRESSO input format:
```
&SYSTEM
  ibrav = 0, nat = 9, ntyp = 3
/
ATOMIC_SPECIES
H 1.01 H.upf
O 16.00 O.upf
W 183.84 W.upf
CELL_PARAMETERS angstrom
2.783 -3.331 6.392
2.298 -4.879 1.098
4.839 -0.207 2.452
ATOMIC_POSITIONS angstrom
H 8.512 -6.720 6.780
O 8.754 -6.003 9.319
O 4.950 -4.223 4.929
O 7.362 -4.322 6.159
O 5.177 -3.459 7.589
O 3.815 -1.782 4.377
O 6.319 -5.901 8.126
W 4.289 -3.270 3.519
W 5.677 -4.940 6.718
```

Values from the calculation:
* size of the total moment: 1.000 μB per formula unit

---

two.
HW2O6 | GGA+U | optimized geometry Values from VASP.

The structure in Quantum ESPRESSO input format:
```
&SYSTEM
  ibrav = 0, nat = 9, ntyp = 3
/
ATOMIC_SPECIES
O 16.00 O.upf
H 1.01 H.upf
W 183.84 W.upf
CELL_PARAMETERS angstrom
-1.596 3.614 3.789
-3.341 2.325 -3.660
-0.383 -5.364 1.023
ATOMIC_POSITIONS angstrom
O -2.652 0.277 0.614
O -0.814 1.776 1.915
O -3.541 -0.348 -3.109
O -1.703 1.152 -1.808
O -1.876 -1.531 -1.285
O -1.017 -0.899 2.472
H -1.974 -1.746 4.801
W -3.088 -0.003 -1.334
W -2.193 0.614 2.390
```

Values from the calculation:
* size of the total moment: 1.000 μB per formula unit

---

What should be chosen as the least stable of them? Choose one.

---

one.
Li3Ni5O10 | GGA+U | optimized geometry Values from VASP.

The structure in Quantum ESPRESSO input format:
```
&SYSTEM
  ibrav = 0, nat = 18, ntyp = 3
/
ATOMIC_SPECIES
O 16.00 O.upf
Li 6.94 Li.upf
Ni 58.69 Ni.upf
CELL_PARAMETERS angstrom
2.468 4.338 0.005
3.255 0.002 4.861
4.107 -1.426 -4.824
ATOMIC_POSITIONS angstrom
O 6.607 0.124 -1.013
O 1.663 0.006 -0.979
O 3.245 0.008 1.003
O 5.756 1.588 1.035
O 4.878 2.767 3.854
O 6.488 2.794 -0.990
O 4.070 1.598 -1.014
O 4.997 0.132 -3.805
O 8.138 2.804 1.078
O 3.307 2.755 1.042
Li 5.742 1.463 -2.398
Li 6.576 2.904 2.435
Li 4.057 1.450 2.455
Ni 4.918 2.910 0.020
Ni 2.461 1.442 0.009
Ni 4.919 0.009 -0.035
Ni 6.566 2.918 -4.761
Ni 7.370 1.464 0.033
```

Values from the calculation:
* size of the total moment: 2.999 μB per formula unit

---

two.
Li3Ni5O10 | GGA+U | optimized geometry Values from VASP.

The structure in Quantum ESPRESSO input format:
```
&SYSTEM
  ibrav = 0, nat = 18, ntyp = 3
/
ATOMIC_SPECIES
O 16.00 O.upf
Li 6.94 Li.upf
Ni 58.69 Ni.upf
CELL_PARAMETERS angstrom
-3.788 -2.202 -2.414
1.779 -3.910 2.639
-3.670 4.815 4.496
ATOMIC_POSITIONS angstrom
O -2.281 -2.277 -0.670
O -2.477 -5.003 0.800
O -3.201 3.706 3.922
O -4.819 -0.143 2.922
O -3.075 -0.111 0.516
O -2.603 -1.186 4.206
O -1.834 1.096 2.994
O -3.397 0.980 5.391
O -0.859 -1.154 1.799
O -3.844 -2.393 1.727
Li -2.839 -0.649 2.361
Li -0.741 -2.070 3.772
Li -4.937 0.773 0.949
Ni -4.367 -0.670 4.702
Ni -1.311 -0.627 0.020
Ni 0.890 -1.955 1.320
Ni -3.960 -1.686 -0.010
Ni -1.718 0.389 4.731
```

Values from the calculation:
* size of the total moment: 3.002 μB per formula unit

---

What should be chosen as the least stable of them? Choose two.